[1]
## FeSnO3 (GGA+U)

Data for a relaxed FeSnO3 crystal.

Summary:
- Uncorrected energy: -6.460 eV/atom
- E_form: -9.29 eV/f.u.

The structure in POSCAR format:
```
FeSnO3
1.0
5.408 0.000 0.000
2.597 5.112 0.000
0.143 3.068 8.840
Fe Sn O
4 4 12
Cartesian
1.336 0.608 0.619 Fe
4.031 6.041 3.797 Fe
4.117 2.138 5.043 Fe
6.812 7.571 8.221 Fe
1.402 4.364 5.965 Sn
4.115 5.343 7.295 Sn
4.033 2.836 1.545 Sn
6.745 3.816 2.875 Sn
3.030 5.725 5.573 O
3.180 4.640 2.370 O
3.359 6.758 8.586 O
2.156 2.955 4.669 O
2.189 2.015 2.046 O
2.490 3.985 7.689 O
5.657 4.194 1.151 O
5.959 6.164 6.793 O
5.991 5.224 4.171 O
4.788 1.422 0.253 O
4.968 3.540 6.470 O
5.118 2.454 3.267 O
```


[2]
## Li9Mn2Co5O16 (GGA+U)

Data for a relaxed Li9Mn2Co5O16 crystal.

Summary:
- Uncorrected energy: -5.763 eV/atom
- Energy relative to the lowest polymorph listed for this composition: 91 meV/atom
- E_form: -56.73 eV/f.u.

The structure in POSCAR format:
```
Li9Mn2Co5O16
1.0
3.016 0.000 0.000
1.481 6.236 0.000
0.918 0.109 15.436
Li Mn Co O
9 2 5 16
Cartesian
0.000 0.000 0.000 Li
1.639 5.546 2.890 Li
1.807 4.823 5.760 Li
2.165 3.244 11.561 Li
1.613 1.616 1.963 Li
1.938 0.100 7.683 Li
3.789 4.860 13.507 Li
3.200 3.230 3.819 Li
3.565 1.724 9.616 Li
2.322 2.518 14.492 Mn
3.630 5.599 10.567 Mn
1.964 4.003 8.639 Co
1.775 0.834 4.723 Co
3.068 4.036 1.056 Co
3.386 2.427 6.729 Co
3.741 0.936 12.531 Co
1.937 5.872 9.143 O
2.310 5.313 12.023 O
2.282 4.371 15.013 O
1.698 3.628 2.277 O
1.834 2.675 5.313 O
1.901 2.169 8.113 O
2.217 1.230 11.126 O
2.249 0.652 13.929 O
3.045 5.745 1.361 O
3.253 5.352 4.415 O
3.283 4.287 7.260 O
3.682 3.720 10.033 O
3.647 2.797 13.030 O
3.090 2.166 0.484 O
3.137 1.223 3.487 O
3.472 0.606 6.201 O
```


[3]
## YMg6CoO8 (GGA+U)

Data for a relaxed YMg6CoO8 crystal.

Summary:
- Uncorrected energy: -6.294 eV/atom
- Energy relative to the lowest polymorph listed for this composition: 0 meV/atom
- E_form: -45.08 eV/f.u.

The structure in POSCAR format:
```
YMg6CoO8
1.0
4.383 0.000 0.000
0.000 4.383 0.000
0.000 0.000 8.797
Y Mg Co O
1 6 1 8
Cartesian
0.000 0.000 0.000 Y
0.000 0.000 4.398 Mg
0.000 2.191 2.286 Mg
0.000 2.191 6.511 Mg
2.191 0.000 2.286 Mg
2.191 0.000 6.511 Mg
2.191 2.191 4.398 Mg
2.191 2.191 0.000 Co
0.000 0.000 2.298 O
0.000 0.000 6.499 O
0.000 2.191 0.000 O
0.000 2.191 4.398 O
2.191 0.000 0.000 O
2.191 0.000 4.398 O
2.191 2.191 2.336 O
2.191 2.191 6.461 O
```


[4]
## Fe4O5F3 (GGA+U)

Data for a relaxed Fe4O5F3 crystal.

Summary:
- Uncorrected energy: -6.043 eV/atom
- Energy relative to the lowest polymorph listed for this composition: 38 meV/atom
- E_form: -22.00 eV/f.u.

The structure in POSCAR format:
```
Fe4O5F3
1.0
4.741 0.000 0.000
0.022 6.072 0.000
0.379 0.033 9.455
Fe O F
8 10 6
Cartesian
0.000 0.000 0.000 Fe
0.208 0.021 4.737 Fe
0.337 3.063 4.887 Fe
0.275 3.038 0.213 Fe
2.427 1.535 7.118 Fe
2.593 4.591 6.979 Fe
2.554 1.516 2.476 Fe
2.711 4.576 2.328 Fe
1.223 1.527 8.625 O
1.298 4.617 8.579 O
1.148 1.546 3.872 O
1.633 0.041 6.190 O
1.673 3.055 6.232 O
1.740 3.045 1.572 O
3.517 6.083 3.286 O
4.090 4.588 5.645 O
3.964 1.506 1.005 O
4.013 4.566 0.933 O
1.226 4.560 3.795 F
1.608 6.062 1.476 F
3.546 3.035 7.992 F
3.577 0.058 8.036 F
3.589 3.066 3.408 F
3.988 1.544 5.714 F
```


[5]
## Li3CrP2O9 (GGA+U)

Data for a relaxed Li3CrP2O9 crystal.

Summary:
- Uncorrected energy: -6.619 eV/atom
- Energy relative to the lowest polymorph listed for this composition: 0 meV/atom
- E_form: -36.73 eV/f.u.

The structure in POSCAR format:
```
Li3CrP2O9
1.0
6.841 0.000 0.000
0.344 7.126 0.000
3.412 -0.024 7.242
Li Cr P O
6 2 4 18
Cartesian
0.000 0.000 0.000 Li
1.688 1.833 2.199 Li
3.652 3.649 4.416 Li
3.512 3.215 0.414 Li
6.611 0.463 4.024 Li
8.734 5.409 5.814 Li
1.872 5.432 2.169 Cr
5.281 5.379 2.233 Cr
3.248 0.352 4.019 P
3.281 0.013 0.078 P
7.007 3.675 4.353 P
6.908 3.313 0.411 P
3.370 3.953 6.289 O
2.333 7.081 3.134 O
3.460 6.815 5.380 O
1.375 3.763 1.199 O
3.304 1.863 3.963 O
2.335 6.316 0.509 O
3.459 4.757 2.396 O
3.219 1.379 0.735 O
4.918 6.930 3.336 O
5.668 4.355 3.845 O
7.003 3.691 5.862 O
7.164 7.065 5.812 O
4.905 6.335 0.586 O
5.614 3.818 1.189 O
7.074 2.298 3.690 O
7.071 6.011 2.050 O
8.243 4.567 3.927 O
6.944 1.802 0.471 O
```


[6]
## MgMn9CdO10 (GGA+U)

Data for a relaxed MgMn9CdO10 crystal.

Summary:
- Uncorrected energy: -7.166 eV/atom
- Energy relative to the lowest polymorph listed for this composition: 0 meV/atom
- E_form: -37.91 eV/f.u.

The structure in POSCAR format:
```
MgMn9CdO10
1.0
5.553 0.000 0.000
-1.782 5.271 0.000
-1.097 -0.987 9.644
Mg Mn Cd O
1 9 1 10
Cartesian
0.000 0.000 0.000 Mg
0.840 1.625 3.753 Mn
-0.080 4.226 5.203 Mn
0.841 1.630 7.010 Mn
-0.033 4.307 8.436 Mn
3.394 1.699 2.075 Mn
2.649 4.163 3.691 Mn
3.608 1.562 5.266 Mn
2.737 4.209 6.768 Mn
3.565 1.567 8.439 Mn
0.038 4.084 1.692 Cd
-1.055 2.806 3.667 O
-0.120 0.207 5.088 O
-0.965 2.874 6.909 O
-0.134 0.174 8.298 O
1.753 2.873 2.325 O
2.689 0.299 3.635 O
1.739 2.906 5.292 O
2.639 0.288 6.806 O
1.872 2.980 8.356 O
3.994 1.130 0.250 O
```


[7]
## BaYMnCoO5 (GGA+U)

Data for a relaxed BaYMnCoO5 crystal.

Summary:
- Uncorrected energy: -7.333 eV/atom
- Energy relative to the lowest polymorph listed for this composition: 8 meV/atom
- E_form: -23.34 eV/f.u.

The structure in POSCAR format:
```
BaYMnCoO5
1.0
5.595 0.000 0.000
-0.123 5.600 0.000
-2.715 -2.790 7.738
Ba Y Mn Co O
2 2 2 2 10
Cartesian
0.000 0.000 0.000 Ba
0.000 0.039 7.732 Ba
0.001 0.006 3.771 Y
2.731 2.811 3.776 Y
-0.059 2.813 5.537 Mn
2.795 0.008 5.696 Mn
-0.071 2.805 1.954 Co
2.817 0.037 1.897 Co
-1.392 1.448 5.171 O
-1.308 -1.448 5.210 O
1.212 4.111 2.348 O
1.403 1.358 2.353 O
-0.061 2.814 7.633 O
1.392 -1.427 5.146 O
1.308 1.471 5.215 O
4.052 4.246 2.350 O
4.241 1.488 2.373 O
2.787 -0.005 7.735 O
```


[8]
## BaLaFeO4 (GGA+U)

Data for a relaxed BaLaFeO4 crystal.

Summary:
- Uncorrected energy: -7.129 eV/atom
- E_form: -19.79 eV/f.u.

The structure in POSCAR format:
```
BaLaFeO4
1.0
4.008 0.000 0.000
0.000 4.008 0.000
0.000 0.000 12.999
Ba La Fe O
2 2 2 8
Cartesian
0.000 0.000 0.000 Ba
2.004 2.004 6.500 Ba
0.000 0.000 9.311 La
2.004 2.004 2.812 La
0.000 0.000 4.596 Fe
2.004 2.004 11.095 Fe
0.000 0.000 2.539 O
0.000 0.000 6.894 O
0.000 2.004 4.472 O
0.000 2.004 10.971 O
2.004 0.000 4.472 O
2.004 0.000 10.971 O
2.004 2.004 0.394 O
2.004 2.004 9.039 O
```